(1)
Density functional theory data (meta-GGA r2SCAN) for crystalline TbHoIn2 at its relaxed geometry.

Unit cell a=7.479 b=7.479 c=7.479 alpha=90.00 beta=90.00 gamma=90.00
Space group Fm-3m (No. 225)
Inequivalent atoms, fractional coordinates:
Tb  0.000  0.000  0.000 [4 per cell]
Ho  0.000  0.000  0.500 [4 per cell]
In  0.250  0.250  0.250 [8 per cell]

---

(2)
Density functional theory data (meta-GGA r2SCAN) for crystalline Ho2TlIn at its relaxed geometry.

Unit cell a=7.486 b=7.486 c=7.486 alpha=90.00 beta=90.00 gamma=90.00
Space group Fm-3m (No. 225)
Inequivalent atoms, fractional coordinates:
Ho  0.250  0.250  0.250 [8 per cell]
Tl  0.000  0.000  0.000 [4 per cell]
In  0.000  0.000  0.500 [4 per cell]

---

(3)
Density functional theory data (meta-GGA r2SCAN) for crystalline HoTmIn2 at its relaxed geometry.

Unit cell a=7.415 b=7.415 c=7.415 alpha=90.00 beta=90.00 gamma=90.00
Space group Fm-3m (No. 225)
Inequivalent atoms, fractional coordinates:
Ho  0.000  0.000  0.000 [4 per cell]
Tm  0.000  0.000  0.500 [4 per cell]
In  0.250  0.250  0.250 [8 per cell]

---

Across the entries above, size of the total moment takes the values 0.0; 0.0; 0.0 Bohr magnetons per cell, respectively.
Across the entries above, final energy takes the values -2.051; -2.637; -2.120 Ry per atom, respectively.